# 1
Entry from the Materials Project: a relaxed structure of VCrP4O14 (GGA+U).

Results
Its energy is -7.3744 eV per atom. Its energy with MP2020 corrections is -321.61 eV for the cell shown. Its piezoelectric modulus e_max is 0.4 C/m2.

Cell: 4.8657 16.1127 6.9879 Å, 90.53 105.89 89.26°
Last column: nearest neighbours and their distance in Å.
Fractional positions:
V 0.2122 0.7527 0.7258  6 O 1.85-1.92
V 0.2118 0.2527 0.7260  6 O 1.85-1.92
Cr 0.7841 0.0032 0.2699  6 O 2.00-2.02
Cr 0.7842 0.5031 0.2703  6 O 2.00-2.02
P 0.3904 0.0912 0.5094  4 O 1.50-1.62
P 0.3902 0.5912 0.5092  4 O 1.50-1.62
P 0.2405 0.3868 0.1044  4 O 1.51-1.64
P 0.2403 0.8867 0.1044  4 O 1.51-1.64
P 0.7642 0.1356 0.8966  4 O 1.49-1.60
P 0.7643 0.6354 0.8960  4 O 1.49-1.60
P 0.6092 0.3458 0.4885  4 O 1.51-1.60
P 0.6093 0.8459 0.4885  4 O 1.51-1.60
O 0.0187 0.1684 0.8296  1 P 1.54
O 0.0180 0.6682 0.8279  1 P 1.54
O 0.1683 0.3301 0.9145  1 P 1.57
O 0.1684 0.8298 0.9148  1 P 1.57
O 0.1537 0.0291 0.4710  1 P 1.50
O 0.1536 0.5290 0.4709  1 P 1.50
O 0.2722 0.1812 0.5322  1 P 1.58
O 0.2718 0.6811 0.5318  1 P 1.58
O 0.4126 0.3368 0.6276  1 P 1.55
O 0.4126 0.8368 0.6276  1 P 1.55
O 0.5569 0.2102 0.9008  1 P 1.56
O 0.5569 0.7099 0.9003  1 P 1.56
O 0.5898 0.0720 0.7322  2 P 1.60-1.62
O 0.5892 0.5718 0.7319  2 P 1.60-1.62
O 0.4270 0.3210 0.2681  2 P 1.60-1.64
O 0.4270 0.8210 0.2682  2 P 1.60-1.64
O 0.4226 0.4596 0.0832  1 P 1.51
O 0.4222 0.9596 0.0831  1 P 1.51
O 0.5760 0.0950 0.3687  1 P 1.51
O 0.5760 0.5949 0.3686  1 P 1.51
O 0.7130 0.4334 0.4882  1 P 1.51
O 0.7130 0.9335 0.4881  1 P 1.51
O 0.8556 0.2816 0.5442  1 P 1.54
O 0.8557 0.7817 0.5441  1 P 1.54
O 0.8653 0.0889 0.0872  1 P 1.49
O 0.8655 0.5886 0.0865  1 P 1.49
O 0.9687 0.4079 0.1593  1 P 1.51
O 0.9685 0.9079 0.1593  1 P 1.51



# 2
Entry from the Materials Project: a relaxed structure of VCr3P6O24 (GGA+U).

Results
Its energy is -7.2411 eV per atom. Its energy with MP2020 corrections is -270.38 eV for the cell shown.

Cell: 8.7696 8.7696 8.7696 Å, 58.36 58.36 58.36°
Last column: nearest neighbours and their distance in Å.
Fractional positions:
V 0.1407 0.1407 0.1407  6 O 1.87-1.91
Cr 0.8571 0.8571 0.8571  6 O 1.92-1.94
Cr 0.6424 0.6424 0.6424  6 O 1.94-1.95
Cr 0.3574 0.3574 0.3574  6 O 1.93
P 0.5338 0.9662 0.2498  4 O 1.53-1.55
P 0.2498 0.5338 0.9662  4 O 1.53-1.55
P 0.9662 0.2498 0.5338  4 O 1.53-1.55
P 0.0337 0.7482 0.4674  4 O 1.53-1.57
P 0.7482 0.4674 0.0337  4 O 1.53-1.57
P 0.4674 0.0337 0.7482  4 O 1.53-1.57
O 0.4886 0.8613 0.7257  1 P 1.53
O 0.8613 0.7257 0.4886  1 P 1.53
O 0.7176 0.9372 0.0771  1 P 1.54
O 0.7257 0.4886 0.8613  1 P 1.53
O 0.5581 0.7833 0.4237  1 P 1.54
O 0.3590 0.9988 0.2184  1 P 1.55
O 0.0771 0.7176 0.9372  1 P 1.54
O 0.4237 0.5581 0.7833  1 P 1.54
O 0.7833 0.4237 0.5581  1 P 1.54
O 0.0079 0.7796 0.6367  1 P 1.53
O 0.0640 0.9271 0.2838  1 P 1.57
O 0.7796 0.6367 0.0079  1 P 1.53
O 0.2184 0.3590 0.9988  1 P 1.55
O 0.9372 0.0771 0.7176  1 P 1.54
O 0.9988 0.2184 0.3590  1 P 1.55
O 0.2171 0.5775 0.4365  1 P 1.53
O 0.5775 0.4365 0.2171  1 P 1.53
O 0.9271 0.2838 0.0640  1 P 1.57
O 0.6367 0.0079 0.7796  1 P 1.53
O 0.4365 0.2171 0.5775  1 P 1.53
O 0.2793 0.5082 0.1368  1 P 1.53
O 0.2838 0.0640 0.9271  1 P 1.57
O 0.1368 0.2793 0.5082  1 P 1.53
O 0.5082 0.1368 0.2793  1 P 1.53



# 3
Entry from the Materials Project: a relaxed structure of V2CrP3O12 (GGA+U).

Results
Its energy is -7.5562 eV per atom. Its energy with MP2020 corrections is -299.31 eV for the cell shown.

Cell: 8.5798 8.5798 8.5798 Å, 60.19 60.19 60.19°
Last column: nearest neighbours and their distance in Å.
Fractional positions:
V 0.3564 0.3564 0.3564  6 O 1.94-2.04
V 0.8564 0.8564 0.8564  6 O 1.94-2.04
V 0.1436 0.1436 0.1436  6 O 1.94-2.04
V 0.6436 0.6436 0.6436  6 O 1.94-2.04
Cr 0.0000 0.0000 0.0000  6 O 2.21
Cr 0.5000 0.5000 0.5000  6 O 2.21
P 0.7500 0.0431 0.4569  4 O 1.52-1.57
P 0.0431 0.4569 0.7500  4 O 1.52-1.57
P 0.4569 0.7500 0.0431  4 O 1.52-1.57
P 0.5431 0.2500 0.9569  4 O 1.52-1.57
P 0.9569 0.5431 0.2500  4 O 1.52-1.57
P 0.2500 0.9569 0.5431  4 O 1.52-1.57
O 0.8847 0.4935 0.6897  1 P 1.52
O 0.4935 0.6897 0.8847  1 P 1.52
O 0.6897 0.8847 0.4935  1 P 1.52
O 0.9132 0.0598 0.2593  1 P 1.57
O 0.8103 0.0065 0.6153  1 P 1.52
O 0.5868 0.2407 0.4402  1 P 1.57
O 0.0598 0.2593 0.9132  1 P 1.57
O 0.2407 0.4402 0.5868  1 P 1.57
O 0.3847 0.1897 0.9935  1 P 1.52
O 0.4402 0.5868 0.2407  1 P 1.57
O 0.7407 0.0868 0.9402  1 P 1.57
O 0.9935 0.3847 0.1897  1 P 1.52
O 0.0065 0.6153 0.8103  1 P 1.52
O 0.2593 0.9132 0.0598  1 P 1.57
O 0.5598 0.4132 0.7593  1 P 1.57
O 0.6153 0.8103 0.0065  1 P 1.52
O 0.7593 0.5598 0.4132  1 P 1.57
O 0.9402 0.7407 0.0868  1 P 1.57
O 0.4132 0.7593 0.5598  1 P 1.57
O 0.1897 0.9935 0.3847  1 P 1.52
O 0.0868 0.9402 0.7407  1 P 1.57
O 0.3103 0.1153 0.5065  1 P 1.52
O 0.5065 0.3103 0.1153  1 P 1.52
O 0.1153 0.5065 0.3103  1 P 1.52



# 4
Entry from the Materials Project: a relaxed structure of CrP6W3O24 (GGA+U).

Results
Its energy is -7.4686 eV per atom. Its energy with MP2020 corrections is -285.73 eV for the cell shown.

Cell: 8.9026 8.9026 8.9026 Å, 58.91 58.91 58.91°
Last column: nearest neighbours and their distance in Å.
Fractional positions:
Cr 0.1427 0.1427 0.1427  6 O 1.99
P 0.5305 0.9658 0.2490  4 O 1.50-1.56
P 0.2490 0.5305 0.9658  4 O 1.50-1.56
P 0.9658 0.2490 0.5305  4 O 1.50-1.56
P 0.0371 0.7567 0.4576  4 O 1.49-1.56
P 0.7567 0.4576 0.0371  4 O 1.49-1.56
P 0.4576 0.0371 0.7567  4 O 1.49-1.56
W 0.8577 0.8577 0.8577  6 O 1.99
W 0.6428 0.6428 0.6428  6 O 1.98
W 0.3581 0.3581 0.3581  6 O 1.98-2.00
O 0.4948 0.8682 0.7164  1 P 1.56
O 0.8682 0.7164 0.4948  1 P 1.56
O 0.7134 0.9378 0.0797  1 P 1.56
O 0.7164 0.4948 0.8682  1 P 1.56
O 0.5658 0.7876 0.4195  1 P 1.55
O 0.3644 0.9899 0.2241  1 P 1.50
O 0.0797 0.7134 0.9378  1 P 1.56
O 0.4195 0.5658 0.7876  1 P 1.55
O 0.7876 0.4195 0.5658  1 P 1.55
O 0.0081 0.7789 0.6342  1 P 1.56
O 0.0591 0.9226 0.2847  1 P 1.49
O 0.7789 0.6342 0.0081  1 P 1.56
O 0.2241 0.3644 0.9899  1 P 1.50
O 0.9378 0.0797 0.7134  1 P 1.56
O 0.9899 0.2241 0.3644  1 P 1.50
O 0.2117 0.5785 0.4399  1 P 1.55
O 0.5785 0.4399 0.2117  1 P 1.55
O 0.9226 0.2847 0.0591  1 P 1.49
O 0.6342 0.0081 0.7789  1 P 1.56
O 0.4399 0.2117 0.5785  1 P 1.55
O 0.2798 0.5095 0.1336  1 P 1.56
O 0.2847 0.0591 0.9226  1 P 1.49
O 0.1336 0.2798 0.5095  1 P 1.56
O 0.5095 0.1336 0.2798  1 P 1.56



# 5
Entry from the Materials Project: a relaxed structure of ZnCr3P3O13 (GGA+U).

Results
Its energy is -7.2481 eV per atom. Its energy with MP2020 corrections is -319.78 eV for the cell shown.

Cell: 6.3170 7.5165 10.1629 Å, 79.53 90.00 90.00°
Last column: nearest neighbours and their distance in Å.
Fractional positions:
Zn 0.7500 0.3711 0.1797  3 O 2.12-2.22
Zn 0.2500 0.6289 0.8203  3 O 2.12-2.22
Cr 0.2500 0.6405 0.2013  5 O 1.91-2.05
Cr 0.7500 0.3595 0.7987  5 O 1.91-2.05
Cr 0.2500 0.2269 0.4365  5 O 1.91-1.98
Cr 0.5000 0.0000 0.0000  6 O 2.00-2.06
Cr 0.7500 0.7731 0.5635  5 O 1.91-1.98
Cr 0.0000 0.0000 0.0000  6 O 2.00-2.06
P 0.2500 0.7879 0.4912  4 O 1.54-1.56
P 0.7500 0.2121 0.5088  4 O 1.54-1.56
P 0.2500 0.2665 0.7638  4 O 1.51-1.57
P 0.7500 0.7335 0.2362  4 O 1.51-1.57
P 0.7500 0.6831 0.8892  4 O 1.55-1.56
P 0.2500 0.3169 0.1108  4 O 1.55-1.56
O 0.7500 0.6364 0.7465  1 P 1.55
O 0.5602 0.2513 0.4101  1 P 1.56
O 0.2500 0.2079 0.6298  1 P 1.51
O 0.5416 0.7866 0.9035  1 P 1.55
O 0.7500 0.3442 0.6081  1 P 1.54
O 0.7500 0.1200 0.9013  3 Cr 1.91-2.00
O 0.2500 0.6558 0.3919  1 P 1.54
O 0.0416 0.2134 0.0965  1 P 1.55
O 0.2500 0.9817 0.4087  1 P 1.54
O 0.7500 0.0183 0.5913  1 P 1.54
O 0.0632 0.3895 0.7895  1 P 1.55
O 0.2500 0.8800 0.0987  3 Cr 1.91-2.00
O 0.5632 0.6105 0.2105  1 P 1.55
O 0.7500 0.4874 0.9732  1 P 1.56
O 0.7500 0.7921 0.3702  1 P 1.51
O 0.4584 0.2134 0.0965  1 P 1.55
O 0.9398 0.2513 0.4101  1 P 1.56
O 0.4398 0.7487 0.5899  1 P 1.56
O 0.4368 0.3895 0.7895  1 P 1.55
O 0.2500 0.3636 0.2535  1 P 1.55
O 0.7500 0.9091 0.1249  1 P 1.57
O 0.2500 0.0909 0.8751  1 P 1.57
O 0.9368 0.6105 0.2105  1 P 1.55
O 0.9584 0.7866 0.9035  1 P 1.55
O 0.0602 0.7487 0.5899  1 P 1.56
O 0.2500 0.5126 0.0268  1 P 1.56



# 6
Entry from the Materials Project: a relaxed structure of ZnCr2P2O8 (GGA+U).

Results
Its energy is -7.1050 eV per atom. Its energy with MP2020 corrections is -407.43 eV for the cell shown.

Cell: 9.3917 9.3917 16.3106 Å, 60.27 60.27 31.56°
Last column: nearest neighbours and their distance in Å.
Fractional positions:
Zn 0.1639 0.5713 0.1262  3 O 1.95-2.17
Zn 0.4287 0.8361 0.3738  3 O 1.95-2.17
Zn 0.5713 0.1639 0.6262  3 O 1.95-2.17
Zn 0.8361 0.4287 0.8738  3 O 1.95-2.17
Cr 0.3630 0.8434 0.0293  4 O 2.03-2.14
Cr 0.1566 0.6370 0.4707  4 O 2.03-2.14
Cr 0.6370 0.1566 0.9707  4 O 2.03-2.14
Cr 0.0000 0.5000 0.0000  4 O 2.04-2.11
Cr 0.8434 0.3630 0.5293  4 O 2.03-2.14
Cr 0.6905 0.3095 0.7500  4 O 2.04-2.13
Cr 0.3095 0.6905 0.2500  4 O 2.04-2.13
Cr 0.5000 0.0000 0.5000  4 O 2.04-2.11
P 0.4901 0.9340 0.1423  4 O 1.52-1.59
P 0.8025 0.2297 0.3934  4 O 1.51-1.59
P 0.5099 0.0660 0.8577  4 O 1.52-1.59
P 0.2297 0.8025 0.8934  4 O 1.51-1.59
P 0.9340 0.4901 0.6423  4 O 1.52-1.59
P 0.0660 0.5099 0.3577  4 O 1.52-1.59
P 0.1975 0.7703 0.6066  4 O 1.51-1.59
P 0.7703 0.1975 0.1066  4 O 1.51-1.59
O 0.1949 0.2983 0.8933  1 P 1.55
O 0.6086 0.2186 0.0837  1 P 1.57
O 0.2983 0.1949 0.3933  1 P 1.55
O 0.6633 0.1806 0.4802  1 P 1.57
O 0.6491 0.8032 0.9381  1 P 1.59
O 0.6700 0.3970 0.3058  1 P 1.51
O 0.8194 0.3367 0.0198  1 P 1.57
O 0.9270 0.1175 0.8784  1 P 1.59
O 0.3367 0.8194 0.5198  1 P 1.57
O 0.7814 0.3914 0.4163  1 P 1.57
O 0.6178 0.1328 0.8571  1 P 1.58
O 0.9933 0.4104 0.7382  1 P 1.52
O 0.3914 0.7814 0.9163  1 P 1.57
O 0.1175 0.9270 0.3784  1 P 1.59
O 0.8051 0.7017 0.1067  1 P 1.55
O 0.3822 0.8672 0.1429  1 P 1.58
O 0.4104 0.9933 0.2382  1 P 1.52
O 0.1806 0.6633 0.9802  1 P 1.57
O 0.1328 0.6178 0.3571  1 P 1.58
O 0.0067 0.5896 0.2618  1 P 1.52
O 0.8825 0.0730 0.6216  1 P 1.59
O 0.8032 0.6491 0.4381  1 P 1.59
O 0.0730 0.8825 0.1216  1 P 1.59
O 0.3970 0.6700 0.8058  1 P 1.51
O 0.2186 0.6086 0.5837  1 P 1.57
O 0.7017 0.8051 0.6067  1 P 1.55
O 0.5896 0.0067 0.7618  1 P 1.52
O 0.1968 0.3509 0.5619  1 P 1.59
O 0.3509 0.1968 0.0619  1 P 1.59
O 0.6030 0.3300 0.1942  1 P 1.51
O 0.3300 0.6030 0.6942  1 P 1.51
O 0.8672 0.3822 0.6429  1 P 1.58



Summary of ΔE_f in meV/atom
-2557, -2386, -2568, -2529, -2455, -2376
(order as listed above)